A:
Entry from Materials Project: crystalline FeSb2O4 at its relaxed geometry (GGA+U). Values from VASP.

Crystal system: tetragonal
Space-group type: P4_2/m, No. 84

Quantum ESPRESSO input file:
```
&SYSTEM
  ibrav = 0, nat = 28, ntyp = 3
/
ATOMIC_SPECIES
Fe 55.84 Fe.upf
Sb 121.76 Sb.upf
O 16.00 O.upf
CELL_PARAMETERS angstrom
-3.4542 4.7040 -0.1814
-6.5483 -4.7921 0.4243
0.1930 0.4545 8.1105
ATOMIC_POSITIONS angstrom
Fe -2.4258 3.6621 3.9228
Fe -5.9332 1.2251 0.0725
Fe -0.8355 1.4964 4.0063
Fe -4.0693 -1.3132 0.1704
Sb -4.2429 -2.9956 3.1127
Sb -0.8703 -0.5855 1.3908
Sb -2.6364 1.9567 6.9723
Sb -5.4850 -3.7522 7.1441
Sb -3.9488 0.8332 2.8294
Sb -5.8608 -0.4669 5.5241
Sb -2.1124 -1.3420 5.4222
Sb -7.1731 -1.5903 1.3812
O -4.1298 0.6224 0.8101
O -3.8117 -2.5202 7.2300
O -5.8763 -4.1846 3.3832
O -7.8842 -0.2022 5.6393
O -6.2198 -2.4688 5.7267
O -2.5436 -1.8175 1.3048
O -7.2806 -1.5892 3.4580
O -1.9253 0.5685 2.7142
O -3.5897 2.8352 2.6267
O -2.8436 -0.0777 6.8521
O -5.6797 -0.2561 7.5434
O -5.1762 -1.9933 1.5954
O -4.6333 2.3597 6.7581
O -2.5289 1.9555 4.8954
O -0.4790 -0.1531 5.1516
O -6.9660 0.4440 1.5014
```

B:
Entry from Materials Project: crystalline FeSb2O4 at its relaxed geometry (GGA+U). Values from VASP.

Crystal system: monoclinic
Space-group type: P2_1/c, No. 14

Quantum ESPRESSO input file:
```
&SYSTEM
  ibrav = 0, nat = 28, ntyp = 3
/
ATOMIC_SPECIES
Fe 55.84 Fe.upf
Sb 121.76 Sb.upf
O 16.00 O.upf
CELL_PARAMETERS angstrom
-5.0426 -4.7254 -5.4523
3.6447 1.2369 -4.4428
4.8550 -7.1004 1.6636
ATOMIC_POSITIONS angstrom
Fe -1.7723 -8.0110 -5.6221
Fe 5.1407 -8.4859 -4.4983
Fe -1.6836 -2.1029 -3.7332
Fe 5.2294 -2.5779 -2.6095
Sb 3.5525 -2.7093 -5.5971
Sb -3.3084 -5.0654 -4.3155
Sb 1.6506 -9.1135 -5.4460
Sb 3.4112 -5.7966 -2.8433
Sb 6.7655 -5.5234 -3.9160
Sb 0.0459 -4.7923 -5.3882
Sb -0.0954 -7.8796 -2.6344
Sb 1.8065 -1.4754 -2.7855
O 4.4005 -7.4865 -2.6959
O 1.4858 -8.8464 -3.4298
O 1.2074 -2.9505 -0.0486
O 3.4582 -5.3369 -0.8603
O 3.0813 -2.8978 -2.3294
O 2.2497 -7.6383 -8.1830
O -1.6059 -5.9186 -4.9797
O 3.3244 -7.9606 -5.5684
O 0.1326 -2.6283 -2.6631
O 1.2868 -2.7157 -7.4312
O -0.0011 -5.2519 -7.3712
O 2.1703 -7.8732 -0.8004
O -0.9434 -3.1023 -5.5356
O 1.9713 -1.7425 -4.8017
O 0.3758 -7.6910 -5.9021
O 5.0629 -4.6703 -3.2518
```

It turns out B is the most stable, with the second structure 58 meV/atom higher.

A:
Entry from Materials Project: crystalline FeSb2O4 at its relaxed geometry (GGA+U). Values from VASP.

Crystal system: tetragonal
Space-group type: P4_2/m, No. 84

Quantum ESPRESSO input file:
```
&SYSTEM
  ibrav = 0, nat = 28, ntyp = 3
/
ATOMIC_SPECIES
Fe 55.84 Fe.upf
Sb 121.76 Sb.upf
O 16.00 O.upf
CELL_PARAMETERS angstrom
8.5722 0.0000 0.0000
0.0000 8.5722 0.0000
0.0000 0.0000 6.6136
ATOMIC_POSITIONS angstrom
Fe 4.2861 0.0000 5.0307
Fe 0.0000 4.2861 4.8896
Fe 4.2861 0.0000 1.5828
Fe 0.0000 4.2861 1.7240
Sb 2.6403 3.7616 0.0000
Sb 1.5398 6.8271 0.0000
Sb 1.7451 1.5398 3.3068
Sb 7.0324 1.7451 0.0000
Sb 4.8106 2.6403 3.3068
Sb 3.7616 5.9319 3.3068
Sb 5.9319 4.8106 0.0000
Sb 6.8271 7.0324 3.3068
O 0.9077 3.2915 3.3068
O 7.7746 5.4327 0.0000
O 3.2915 7.6645 0.0000
O 5.3440 6.5594 4.6381
O 5.3440 6.5594 1.9754
O 0.7976 3.1395 0.0000
O 3.1395 7.7746 3.3068
O 3.2282 2.0127 1.9754
O 3.2282 2.0127 4.6381
O 6.5594 3.2282 1.3313
O 7.6645 5.2806 3.3068
O 2.0127 5.3440 1.3313
O 6.5594 3.2282 5.2822
O 5.4327 0.7976 3.3068
O 5.2806 0.9077 0.0000
O 2.0127 5.3440 5.2822
```

B:
Entry from Materials Project: crystalline FeSb2O4 at its relaxed geometry (GGA+U). Values from VASP.

Crystal system: tetragonal
Space-group type: P4_2/m, No. 84

Quantum ESPRESSO input file:
```
&SYSTEM
  ibrav = 0, nat = 28, ntyp = 3
/
ATOMIC_SPECIES
Fe 55.84 Fe.upf
Sb 121.76 Sb.upf
O 16.00 O.upf
CELL_PARAMETERS angstrom
5.7679 0.0000 0.0000
0.0000 8.2785 0.0000
0.0000 0.0000 8.2785
ATOMIC_POSITIONS angstrom
Fe 4.2327 0.0000 4.1392
Fe 4.4191 4.1392 0.0000
Fe 1.5352 0.0000 4.1392
Fe 1.3488 4.1392 0.0000
Sb 0.0000 4.8866 2.5790
Sb 0.0000 7.8270 1.4175
Sb 2.8839 1.4175 0.4515
Sb 0.0000 0.4515 6.8610
Sb 2.8839 2.5790 3.3919
Sb 2.8839 5.6995 4.8866
Sb 0.0000 3.3919 5.6995
Sb 2.8839 6.8610 7.8270
O 2.8839 3.3567 1.0343
O 0.0000 4.8622 7.1647
O 0.0000 7.2442 3.3567
O 4.2248 7.0771 5.7630
O 1.5431 7.0771 5.7630
O 0.0000 3.4163 1.1137
O 2.8839 7.1647 3.4163
O 1.5431 1.2014 2.5155
O 4.2248 1.2014 2.5155
O 1.3409 2.5155 7.0771
O 2.8839 4.9218 7.2442
O 1.3409 5.7630 1.2014
O 4.4270 2.5155 7.0771
O 2.8839 1.1137 4.8622
O 0.0000 1.0343 4.9218
O 4.4270 5.7630 1.2014
```

C:
Entry from Materials Project: crystalline FeSb2O4 at its relaxed geometry (GGA+U). Values from VASP.

Crystal system: tetragonal
Space-group type: P4_2/mbc, No. 135

Quantum ESPRESSO input file:
```
&SYSTEM
  ibrav = 0, nat = 28, ntyp = 3
/
ATOMIC_SPECIES
Fe 55.84 Fe.upf
Sb 121.76 Sb.upf
O 16.00 O.upf
CELL_PARAMETERS angstrom
0.0000 0.0003 6.0610
8.7720 0.0001 0.0000
0.0001 8.7719 0.0004
ATOMIC_POSITIONS angstrom
Fe 8.7707 4.3858 4.5460
Fe 4.3868 8.7708 1.5157
Fe 4.3867 8.7711 4.5462
Fe 8.7707 4.3870 1.5153
Sb 2.9190 2.8272 3.0306
Sb 2.8271 5.8530 0.0003
Sb 1.4672 7.2132 3.0308
Sb 7.2132 7.3054 6.0613
Sb 5.8531 5.9451 3.0308
Sb 5.9451 2.9191 0.0002
Sb 7.3051 1.5594 3.0306
Sb 1.5591 1.4671 0.0001
O 2.8137 7.1997 4.5461
O 7.1996 5.9587 1.5155
O 1.5725 2.8139 4.5459
O 2.8136 7.1996 1.5156
O 7.1996 5.9588 4.5460
O 1.5725 2.8137 1.5154
O 5.9586 1.5726 1.5153
O 5.9586 1.5728 4.5458
O 7.5494 3.5104 3.0306
O 3.5101 1.2226 0.0002
O 5.6089 7.8962 3.0308
O 7.8962 3.1638 6.0611
O 1.2228 5.2622 3.0308
O 5.2621 7.5495 6.0613
O 3.1635 0.8762 3.0306
O 0.8761 5.6088 0.0003
```

It turns out C is the most stable, with the second structure 101 meV/atom higher.

A:
Entry from Materials Project: crystalline Fe13Si2Sb2O28 at its relaxed geometry (GGA+U). Values from VASP.

Crystal system: triclinic
Space-group type: P-1, No. 2

Quantum ESPRESSO input file:
```
&SYSTEM
  ibrav = 0, nat = 45, ntyp = 4
/
ATOMIC_SPECIES
Fe 55.84 Fe.upf
Si 28.09 Si.upf
Sb 121.76 Sb.upf
O 16.00 O.upf
CELL_PARAMETERS angstrom
-0.4902 5.3178 -1.7626
-7.5644 -0.3362 -4.5075
-5.8876 5.1891 8.3950
ATOMIC_POSITIONS angstrom
Fe -9.2820 8.4460 1.1370
Fe -3.8654 4.0861 -1.5124
Fe -6.9281 5.3384 3.4642
Fe -4.6601 1.7247 0.9879
Fe -10.0767 6.0846 3.6373
Fe -10.2395 3.4434 -1.3186
Fe -5.8698 1.6723 -1.9825
Fe 0.0000 0.0000 0.0000
Fe -1.0958 3.0203 0.5073
Fe -8.0724 8.4984 4.1074
Fe -7.0140 4.8323 -1.3393
Fe -12.8463 7.1504 1.6176
Fe -3.7026 6.7273 3.4435
Si -2.4949 1.1412 -1.8140
Si -11.4472 9.0295 3.9389
Sb -2.1308 6.0458 0.9137
Sb -11.8113 4.1249 1.2112
O -5.1335 5.1045 -0.6279
O -5.2190 3.1871 1.5512
O -3.1982 4.8678 -3.1811
O -6.9634 6.7587 7.2992
O -8.7231 6.9836 0.5737
O -8.8086 5.0662 2.7528
O -4.1571 3.0063 4.3823
O -9.7850 7.1644 -2.2574
O -6.9787 3.4120 -5.1743
O -7.6714 1.1152 -2.8980
O -3.7158 2.1276 -1.2416
O -6.6717 6.6041 -1.8784
O -10.3865 4.9307 0.0695
O -2.2165 4.6037 -0.5238
O -5.6486 3.5845 -2.8120
O -10.7440 5.3029 5.3060
O -11.7256 5.5670 2.6487
O -6.2707 9.0555 5.0229
O -3.5557 5.2401 2.0554
O -2.7805 2.0844 1.6044
O -11.1616 8.0863 0.5204
O -8.2936 6.5863 4.9369
O -5.3849 5.8468 4.6725
O -6.3435 6.2336 2.1922
O -10.2263 8.0431 3.3665
O -8.5572 4.3239 -2.5476
O -7.2704 3.5666 4.0033
O -7.5987 3.9371 -0.0673
```

B:
Entry from Materials Project: crystalline Fe13Si2Sb2O28 at its relaxed geometry (GGA+U). Values from VASP.

Crystal system: triclinic
Space-group type: P-1, No. 2

Quantum ESPRESSO input file:
```
&SYSTEM
  ibrav = 0, nat = 45, ntyp = 4
/
ATOMIC_SPECIES
Fe 55.84 Fe.upf
Si 28.09 Si.upf
Sb 121.76 Sb.upf
O 16.00 O.upf
CELL_PARAMETERS angstrom
-0.5391 4.6447 3.1641
-8.6638 -0.3942 2.2805
1.7994 -4.7176 10.4235
ATOMIC_POSITIONS angstrom
Fe -4.9533 0.7796 11.7082
Fe -3.0534 2.3363 4.2409
Fe -2.1643 -2.0269 9.4597
Fe -2.4366 -1.2438 4.1619
Fe -4.3360 -2.8006 11.6299
Fe 0.1155 -1.0097 5.6170
Fe -5.4782 0.0141 3.9310
Fe -8.6571 -0.3921 2.2825
Fe -8.5234 0.9715 5.1904
Fe -1.9128 -0.4791 11.9399
Fe -5.2246 1.5628 6.4116
Fe 1.1340 -1.4345 10.6810
Fe -7.5049 0.5464 10.2537
Si -2.7924 0.8805 1.5155
Si -4.5970 -1.3444 14.3554
Sb -8.4498 2.4053 7.9832
Sb 1.0601 -2.8688 7.8879
O -3.2627 1.9295 6.0564
O -1.8408 -1.1975 5.8344
O -3.5530 4.1719 3.7568
O -1.2181 1.3134 1.3085
O -5.5489 0.7341 10.0357
O -4.1265 -2.3937 9.8141
O -0.3298 1.6070 9.2692
O -7.0597 -2.0702 6.6015
O -6.1713 -1.7769 14.5628
O -7.4410 -0.4198 4.0366
O -3.1113 0.6703 3.1508
O -4.3317 -1.5719 4.2885
O -7.3636 -1.3833 9.5833
O -1.1137 2.6761 4.1381
O -5.3763 2.1359 4.3697
O -3.8364 -4.6357 12.1140
O -6.2757 -3.1394 11.7329
O 0.0509 -0.0436 11.8345
O -0.0258 0.9199 6.2876
O -0.6561 -0.7263 3.5672
O -6.7336 0.2626 12.3037
O -2.0130 -2.5998 11.5013
O -0.2531 -2.0857 9.2329
O -2.2320 -0.3642 9.9166
O -4.2781 -1.1345 12.7200
O -7.1363 1.6225 6.6383
O -3.0575 1.1077 11.5828
O -5.1576 -0.0994 5.9544
```

It turns out B is the most stable, with the second structure 520 meV/atom higher.

A:
Entry from Materials Project: crystalline FeSiO4 at its relaxed geometry (GGA+U). Values from VASP.

Crystal system: monoclinic
Space-group type: P2_1/c, No. 14

Quantum ESPRESSO input file:
```
&SYSTEM
  ibrav = 0, nat = 24, ntyp = 3
/
ATOMIC_SPECIES
Fe 55.84 Fe.upf
Si 28.09 Si.upf
O 16.00 O.upf
CELL_PARAMETERS angstrom
5.3599 0.0000 0.0000
0.0000 7.2408 0.0000
0.0000 6.6440 9.3630
ATOMIC_POSITIONS angstrom
Fe 1.6990 8.4218 8.9004
Fe 0.9810 5.0998 4.2189
Fe 3.6609 5.4631 0.4626
Fe 4.3789 8.7851 5.1441
Si 1.6673 10.2142 6.3566
Si 1.0126 6.8922 1.6751
Si 3.6925 3.6706 3.0064
Si 4.3473 6.9926 7.6879
O 1.2621 4.5191 5.9520
O 1.4178 1.1970 1.2705
O 4.0978 9.3658 3.4110
O 3.9421 12.6878 8.0925
O 4.1079 7.2011 6.0702
O 3.9319 3.8791 1.3887
O 1.2520 6.6837 3.2928
O 1.4280 10.0058 7.9743
O 1.8872 5.8254 0.8007
O 0.7927 9.1474 5.4822
O 3.4726 8.0595 8.5623
O 4.5672 4.7375 3.8808
O 2.1112 3.9490 3.3364
O 0.5687 7.2710 8.0179
O 3.2487 9.9359 6.0265
O 4.7911 6.6139 1.3451
```

B:
Entry from Materials Project: crystalline FeSiO4 at its relaxed geometry (GGA+U). Values from VASP.

Crystal system: orthorhombic
Space-group type: Pnma, No. 62

Quantum ESPRESSO input file:
```
&SYSTEM
  ibrav = 0, nat = 24, ntyp = 3
/
ATOMIC_SPECIES
Fe 55.84 Fe.upf
Si 28.09 Si.upf
O 16.00 O.upf
CELL_PARAMETERS angstrom
-1.6747 -4.9651 -1.3168
5.7599 -1.9348 -0.0300
-0.8487 -2.7012 11.2643
ATOMIC_POSITIONS angstrom
Fe -0.0613 -5.0102 3.6938
Fe 3.2978 -4.5909 6.2237
Fe 3.9261 -2.6354 0.7520
Fe -0.6896 -6.9657 9.1655
Si 0.6332 -2.9808 6.1338
Si 2.6033 -6.6203 3.7837
Si 2.3666 -7.4146 9.5634
Si 0.8699 -2.1865 0.3541
O -0.5190 -6.3908 4.8402
O 3.7555 -3.2103 5.0773
O 2.8340 -6.0351 10.3185
O 0.4025 -3.5660 -0.4010
O 0.4606 -3.4704 4.5907
O 2.7758 -6.1307 5.3268
O 2.8426 -5.8403 -0.5866
O 0.3939 -3.7608 10.5041
O -0.7951 -3.0737 6.9503
O 4.0316 -6.5274 2.9672
O 3.5909 -7.9266 8.5865
O -0.3544 -1.6745 1.3310
O 1.5132 -5.6814 2.9803
O 1.7233 -3.9197 6.9372
O 2.1640 -2.5204 1.3179
O 1.0725 -7.0807 8.5996
```

C:
Entry from Materials Project: crystalline FeSiO4 at its relaxed geometry (GGA+U). Values from VASP.

Crystal system: cubic
Space-group type: Ia-3d, No. 230

Quantum ESPRESSO input file:
```
&SYSTEM
  ibrav = 0, nat = 72, ntyp = 3
/
ATOMIC_SPECIES
Fe 55.84 Fe.upf
Si 28.09 Si.upf
O 16.00 O.upf
CELL_PARAMETERS angstrom
-5.7633 5.7633 5.7633
5.7633 -5.7633 5.7633
5.7633 5.7633 -5.7633
ATOMIC_POSITIONS angstrom
Fe 4.3224 5.7633 2.8816
Fe 7.2041 0.0000 2.8816
Fe 2.8816 7.2041 0.0000
Fe 2.8816 4.3224 5.7633
Fe 0.0000 2.8816 7.2041
Fe 5.7633 2.8816 4.3224
Fe 1.4408 0.0000 2.8816
Fe -1.4408 5.7633 2.8816
Fe 2.8816 -1.4408 5.7633
Fe 2.8816 1.4408 0.0000
Fe 5.7633 2.8816 -1.4408
Fe 0.0000 2.8816 1.4408
Si 8.6449 1.4408 0.0000
Si 1.4408 0.0000 8.6449
Si 4.3224 0.0000 2.8816
Si 2.8816 1.4408 5.7633
Si 0.0000 8.6449 1.4408
Si 2.8816 4.3224 0.0000
Si 5.7633 2.8816 1.4408
Si 4.3224 5.7633 -2.8816
Si 0.0000 2.8816 4.3224
Si 5.7633 -2.8816 4.3224
Si 1.4408 5.7633 2.8816
Si -2.8816 4.3224 5.7633
O 3.8748 0.3577 6.5157
O 6.5157 3.8748 0.3577
O 5.4055 5.0108 -1.8885
O 1.8885 0.3577 5.0108
O 3.6341 -3.2394 6.7564
O 0.7524 1.8885 -0.3577
O 2.1292 3.2394 0.9932
O 0.3577 6.5157 3.8748
O 3.6341 3.2394 -0.9932
O 0.9932 2.1292 3.2394
O -3.2394 6.7564 3.6341
O 2.5239 -0.9932 7.8925
O -0.9932 7.8925 2.5239
O 3.2394 0.9932 2.1292
O -0.9932 3.6341 3.2394
O 3.2394 -0.9932 3.6341
O 6.7564 3.6341 -3.2394
O -1.8885 5.4055 5.0108
O 1.8885 -0.3577 0.7524
O 2.1292 2.5239 6.7564
O 5.0108 1.8885 0.3577
O 0.3577 5.0108 1.8885
O -0.3577 0.7524 1.8885
O 7.8925 2.5239 -0.9932
O 1.8885 5.4055 -0.7524
O -0.7524 1.8885 5.4055
O 0.3577 0.7524 7.6517
O 3.8748 5.4055 0.7524
O 2.1292 9.0026 -0.9932
O 5.0108 3.8748 6.1210
O 3.6341 2.5239 4.7701
O 5.4055 -0.7524 1.8885
O -2.1292 3.2394 6.7564
O 6.1210 5.0108 3.8748
O 5.4055 0.7524 3.8748
O 0.7524 7.6517 0.3577
O 0.7524 3.8748 5.4055
O 3.8748 6.1210 5.0108
O 7.6517 0.3577 0.7524
O -0.9932 2.1292 9.0026
O 2.5239 6.7564 2.1292
O 6.7564 2.1292 2.5239
O 2.5239 4.7701 3.6341
O 6.7564 -2.1292 3.2394
O 3.2394 6.7564 -2.1292
O 9.0026 -0.9932 2.1292
O 4.7701 3.6341 2.5239
O 5.0108 -1.8885 5.4055
```

It turns out B is the most stable, with the second structure 5 meV/atom higher.